Run A
Computed, not measured: a relaxed V2NO crystal at the PBE with a Hubbard U level of DFT.

Geometry as extended XYZ:
```
8
Lattice="-2.186 2.186 4.399 2.186 -2.186 4.399 2.186 2.186 -4.399" Properties=species:S:1:pos:R:3 pbc="T T T"
V 0.000 0.000 6.693
V 0.000 2.186 0.095
V 0.000 0.000 2.105
V 0.000 2.186 4.304
N 0.000 2.186 2.199
N 0.000 0.000 0.000
O 2.186 0.000 2.199
O 0.000 0.000 4.399
```

Run B
Computed, not measured: a relaxed V2NO crystal at the PBE with a Hubbard U level of DFT.

Geometry as extended XYZ:
```
4
Lattice="3.080 0.000 0.000 0.000 3.080 0.000 0.000 0.000 4.419" Properties=species:S:1:pos:R:3 pbc="T T T"
V 1.540 1.540 2.210
V 0.000 0.000 0.000
N 0.000 0.000 2.210
O 1.540 1.540 0.000
```

Most stable = run A

Run A
Computed, not measured: a relaxed NaSrNdWO6 crystal at the PBE with a Hubbard U level of DFT.

Geometry as extended XYZ:
```
10
Lattice="-1.651 3.500 4.266 -3.983 -1.743 3.777 1.504 -1.175 5.434" Properties=species:S:1:pos:R:3 pbc="T T T"
Sr -1.033 0.145 3.369
O -2.975 -0.674 5.334
O -1.155 1.256 8.143
O -0.372 -0.405 6.120
O -1.869 1.813 5.566
O -3.758 0.986 7.358
O -2.262 -1.231 7.912
Na 0.000 0.000 0.000
Nd -3.098 0.436 10.108
W -2.065 0.291 6.739
```

Run B
Computed, not measured: a relaxed NaSrNdWO6 crystal at the PBE with a Hubbard U level of DFT.

Geometry as extended XYZ:
```
40
Lattice="-7.653 3.457 -0.319 -1.817 -3.331 7.485 2.968 6.922 3.801" Properties=species:S:1:pos:R:3 pbc="T T T"
O -5.676 7.745 3.957
O -1.672 2.433 0.912
O -0.082 5.171 8.956
O -1.710 3.205 10.186
O -4.352 5.411 3.321
O 0.526 2.457 8.743
O -2.018 1.943 7.814
O -6.203 2.972 4.756
O -2.260 6.157 5.009
O -2.158 -0.049 2.189
O -6.519 0.677 7.893
O 0.262 1.297 2.528
O -3.104 7.780 2.943
O -3.584 8.492 5.644
O -1.579 1.091 4.572
O -1.093 3.573 3.295
O -2.627 4.657 8.027
O -4.605 1.054 5.943
O -4.832 6.123 6.022
O -8.117 2.596 6.706
O -3.513 2.227 2.955
O -5.540 3.168 7.504
O -7.181 0.481 5.145
O -0.390 3.909 6.584
Nd -2.534 0.096 6.484
Nd -5.452 3.490 2.582
Nd -4.877 5.286 8.225
Nd -0.141 5.223 4.642
W -1.050 3.557 8.385
W -1.626 1.762 2.742
W -3.968 6.951 4.483
W -6.361 1.825 6.325
Sr -0.909 -1.666 3.743
Sr 1.484 3.461 1.901
Sr -2.342 5.190 1.741
Sr -4.735 0.063 3.583
Na 0.000 0.000 0.000
Na 0.575 1.795 5.643
Na -3.827 1.729 -0.160
Na -3.251 3.524 5.484
```

Run C
Computed, not measured: a relaxed NaSrNdWO6 crystal at the PBE with a Hubbard U level of DFT.

Geometry as extended XYZ:
```
10
Lattice="0.000 -4.260 -4.260 4.260 0.000 -4.260 4.260 -4.260 0.000" Properties=species:S:1:pos:R:3 pbc="T T T"
Sr 2.130 -2.130 -2.130
O 4.260 -6.209 -4.260
O 2.311 -4.260 -4.260
O 4.260 -4.260 -6.209
O 4.260 -4.260 -2.311
O 4.260 -2.311 -4.260
O 6.209 -4.260 -4.260
Na 6.390 -6.390 -6.390
W 4.260 -4.260 -4.260
Nd 0.000 0.000 0.000
```

Most stable = run B

Run A
Computed, not measured: a relaxed Na3Ni2O4 crystal at the PBE with a Hubbard U level of DFT.

Geometry as extended XYZ:
```
18
Lattice="2.825 -3.986 0.000 2.825 3.986 0.000 0.000 0.000 10.483" Properties=species:S:1:pos:R:3 pbc="T T T"
O 1.232 -0.623 9.231
O 4.418 -0.623 6.493
O 1.232 0.623 3.990
O 1.232 0.623 1.251
O 4.418 -0.623 9.231
O 4.418 0.623 3.990
O 4.418 0.623 1.251
O 1.232 -0.623 6.493
Ni 2.825 -3.413 2.621
Ni 2.825 3.413 7.862
Ni 0.000 0.000 5.241
Ni 0.000 0.000 0.000
Na 2.825 -1.186 4.563
Na 2.825 -1.482 7.862
Na 2.825 1.186 9.804
Na 2.825 1.186 5.920
Na 2.825 1.482 2.621
Na 2.825 -1.186 0.679
```

Run B
Computed, not measured: a relaxed Na3Ni2O4 crystal at the PBE with a Hubbard U level of DFT.

Geometry as extended XYZ:
```
36
Lattice="-1.707 -0.252 5.277 3.109 -8.002 0.623 8.864 3.680 3.043" Properties=species:S:1:pos:R:3 pbc="T T T"
Na 9.035 -3.723 8.269
Na 3.200 -4.643 4.621
Na 3.944 0.276 1.606
Na 3.717 -1.463 4.370
Na 7.065 0.069 4.321
Na 6.549 -3.111 4.573
Na 1.231 -0.851 0.674
Na 5.743 1.149 6.866
Na 6.322 -4.850 7.337
Na 1.004 -2.590 3.438
Na 9.262 -1.984 5.505
Na 4.522 -5.723 2.077
O 3.496 -3.671 2.585
O 6.396 -5.532 3.611
O 9.476 0.339 4.195
O 4.633 -3.317 6.067
O 0.790 -4.913 4.748
O 7.713 2.554 6.651
O 6.770 -0.903 6.358
O 2.552 -7.128 2.292
O 3.793 -6.759 5.454
O 1.811 -2.174 5.683
O 1.989 -0.309 2.909
O 8.455 -2.400 3.260
O 5.633 -1.257 2.876
O 6.472 2.185 3.489
O 8.277 -4.265 6.034
O 3.870 0.958 5.332
Ni 5.508 -2.053 7.179
Ni 10.093 -4.778 5.612
Ni 0.173 0.204 3.331
Ni 2.433 1.142 4.107
Ni 7.768 -1.115 7.955
Ni 2.498 -3.459 0.988
Ni 4.758 -2.521 1.764
Ni 7.833 -5.716 4.836
```

Most stable = run A

Run A
Computed, not measured: a relaxed NaNi5O6 crystal at the PBE with a Hubbard U level of DFT.

Geometry as extended XYZ:
```
12
Lattice="-0.320 -5.109 0.977 -2.462 0.133 4.591 -2.555 -1.555 -4.268" Properties=species:S:1:pos:R:3 pbc="T T T"
Ni -2.493 -0.430 1.640
Ni -2.669 -3.268 0.638
Ni -2.638 -2.701 3.611
Ni -2.524 -0.997 -1.338
Ni -2.875 -6.660 -3.270
O -3.912 -4.940 0.878
O -1.557 -4.010 2.307
O -1.441 -4.468 -0.555
O -3.925 -2.586 -0.887
O -3.749 -1.960 1.939
O -1.427 -1.630 0.222
Na -2.699 -3.828 -2.303
```

Run B
Computed, not measured: a relaxed NaNi5O6 crystal at the PBE with a Hubbard U level of DFT.

Geometry as extended XYZ:
```
24
Lattice="4.514 -2.591 0.044 0.014 5.204 0.006 -1.576 -0.860 9.799" Properties=species:S:1:pos:R:3 pbc="T T T"
Ni -0.066 0.010 7.351
Ni 1.505 2.621 0.018
Ni 0.012 1.722 2.467
Ni 3.009 1.760 2.498
Ni 2.967 -1.706 4.937
Ni -0.022 3.472 4.912
Ni 1.485 0.861 4.925
Ni -1.552 4.328 9.805
Ni 1.427 -0.833 9.830
Ni 1.466 2.585 7.370
O -0.044 3.557 8.717
O 3.169 -1.785 1.171
O 2.918 -1.892 8.704
O -0.106 0.054 3.722
O 1.342 -0.939 6.082
O 1.529 1.017 1.219
O 3.120 0.076 3.780
O 2.975 1.844 6.126
O -0.067 3.506 1.106
O 0.058 1.682 6.106
O 1.312 0.929 8.629
O 1.493 2.499 3.730
Na 1.520 -0.853 2.470
Na 2.942 -0.008 7.392
```

Most stable = run A

Run A
Computed, not measured: a relaxed NaNi2O4 crystal at the PBE with a Hubbard U level of DFT.

Geometry as extended XYZ:
```
28
Lattice="4.871 0.000 0.000 0.000 5.771 0.000 0.000 5.694 11.261" Properties=species:S:1:pos:R:3 pbc="T T T"
O 4.052 4.245 4.635
O 4.000 1.361 0.970
O 1.608 2.806 1.001
O 3.263 5.653 6.631
O 0.887 10.122 10.287
O 3.300 5.687 10.213
O 3.286 8.700 6.649
O 1.586 5.852 1.018
O 0.814 7.229 6.621
O 1.586 5.738 4.602
O 4.058 4.382 0.990
O 1.572 2.840 4.583
O 0.872 4.208 6.600
O 0.820 7.092 10.265
O 3.984 7.275 4.657
O 3.285 8.585 10.233
Ni 2.423 7.121 11.221
Ni 2.449 4.274 5.591
Ni 4.867 11.464 11.260
Ni 2.439 4.345 0.039
Ni 0.004 8.617 5.630
Ni 2.432 7.192 5.669
Ni 0.004 5.734 5.630
Ni 4.867 8.582 11.260
Na 2.505 1.424 2.814
Na 0.694 4.309 2.819
Na 4.178 7.157 8.450
Na 2.366 4.272 8.444
```

Run B
Computed, not measured: a relaxed NaNi2O4 crystal at the PBE with a Hubbard U level of DFT.

Geometry as extended XYZ:
```
28
Lattice="4.871 0.009 -0.007 0.011 5.771 0.020 -0.016 0.038 11.261" Properties=species:S:1:pos:R:3 pbc="T T T"
Na 3.126 1.459 2.811
Na 4.798 1.480 8.452
Na 0.078 4.337 2.829
Na 1.743 4.360 8.462
Ni 2.429 0.040 5.627
Ni 2.426 2.927 11.267
Ni 2.420 0.045 11.257
Ni -0.002 1.476 5.607
Ni 4.862 4.337 5.680
Ni 0.010 1.426 0.044
Ni 4.856 4.392 11.230
Ni 2.435 2.898 5.639
O 1.628 1.389 0.993
O 3.291 1.408 10.292
O 0.854 0.051 10.212
O 4.012 5.763 1.061
O 3.235 4.303 6.623
O 1.617 1.513 4.637
O 3.239 4.429 10.280
O 0.850 2.822 6.657
O 4.022 2.899 1.031
O 1.555 4.254 4.669
O 1.575 4.410 0.983
O 4.031 0.102 4.612
O 0.823 0.097 6.631
O 4.017 2.853 4.607
O 0.845 2.924 10.242
O 3.320 1.561 6.622
```

Run C
Computed, not measured: a relaxed NaNi2O4 crystal at the PBE with a Hubbard U level of DFT.

Geometry as extended XYZ:
```
28
Lattice="-2.845 -0.269 -0.046 0.664 -5.913 -6.498 0.637 -7.986 7.333" Properties=species:S:1:pos:R:3 pbc="T T T"
O 0.293 -10.968 1.659
O 0.272 -10.156 -1.805
O -1.816 -4.013 2.594
O -1.574 -6.299 1.022
O 0.161 -9.965 3.983
O -0.559 -1.894 1.232
O -0.985 -12.274 -0.443
O -1.379 -8.548 2.100
O -0.163 -6.458 3.481
O -1.704 -4.204 -3.194
O -1.537 -5.558 -5.622
O -0.007 -8.611 6.411
O 0.031 -7.870 -0.233
O -0.165 -5.621 -1.310
O -1.837 -3.201 -0.869
O -1.381 -7.711 -2.692
Ni -2.016 -1.470 0.100
Ni -1.486 -6.905 -0.873
Ni -1.703 -5.456 4.052
Ni 0.159 -8.713 -3.263
Ni 0.473 -12.699 0.689
Ni -1.195 -10.616 2.826
Ni -0.057 -7.264 1.662
Ni -0.349 -3.553 -2.037
Na -1.442 -8.288 4.518
Na -0.101 -5.881 -3.729
Na -0.326 -4.269 0.755
Na -1.217 -9.900 0.034
```

Most stable = run B

Run A
Computed, not measured: a relaxed NaSrPrWO6 crystal at the PBE with a Hubbard U level of DFT.

Geometry as extended XYZ:
```
10
Lattice="-5.674 2.015 0.638 -3.850 -0.267 -4.665 -4.612 -3.921 0.102" Properties=species:S:1:pos:R:3 pbc="T T T"
O -5.950 -2.377 -1.023
O -5.603 -0.714 -3.193
O -7.702 -2.499 -3.147
O -8.532 -1.460 -0.733
O -6.433 0.325 -0.779
O -8.185 0.203 -2.903
Pr 0.000 0.000 0.000
Sr -3.534 -0.543 -0.981
W -7.068 -1.087 -1.963
Na -10.601 -1.630 -2.944
```

Run B
Computed, not measured: a relaxed NaSrPrWO6 crystal at the PBE with a Hubbard U level of DFT.

Geometry as extended XYZ:
```
40
Lattice="-0.015 -3.891 -7.495 3.539 -6.817 3.532 -7.689 -3.139 1.645" Properties=species:S:1:pos:R:3 pbc="T T T"
O -3.513 -9.084 0.199
O -2.720 -7.796 3.819
O -0.652 -4.572 -2.149
O -1.554 -1.986 -1.758
O -2.931 -4.027 -0.615
O -4.841 -7.438 -5.410
O -3.628 -6.626 1.482
O -3.818 -8.561 -3.098
O -1.431 -2.351 0.990
O -2.605 -10.254 2.536
O -5.005 -8.733 2.498
O -0.356 -7.570 -3.619
O 2.316 -7.958 -3.342
O 0.661 -10.110 -4.034
O 1.797 -10.062 -1.502
O -1.228 -8.147 1.521
O 0.848 -2.897 -0.544
O -0.528 -4.938 0.600
O -5.969 -5.393 -3.911
O -6.490 -8.107 -3.247
O 0.780 -7.522 -1.088
O -3.297 -5.847 -3.761
O -4.946 -6.516 -1.598
O -0.875 -9.674 -1.780
Sr 1.769 -3.409 1.766
Sr -3.852 -3.515 -2.925
Sr -3.845 -1.570 0.823
Sr 1.762 -5.354 -1.981
Pr -3.124 -10.386 -1.738
Pr 0.728 -6.870 1.187
Pr -1.049 -5.407 -4.327
Pr -4.886 -5.031 0.243
Na -2.075 -4.978 2.589
Na 0.000 0.000 0.000
Na -0.008 -1.946 -3.747
Na -2.083 -6.924 -1.159
W -1.041 -3.462 -0.579
W -3.117 -8.440 2.009
W -4.894 -6.977 -3.504
W 0.721 -8.816 -2.561
```

Most stable = run B